BaCuF4: relaxed, meta-GGA r2SCAN.

Calculated formation energy, eV/atom: -2.99
Final energy, Ry per atom: -0.831
Spin magnetization, μB per formula unit: 1.00

Structure (POSCAR):
```
BaCuF4
1.0
2.257 -6.964 0.000
2.257 6.964 0.000
0.000 0.000 5.518
Ba Cu F
2 2 8
Direct
0.134 0.866 0.500
0.866 0.134 0.000
0.407 0.593 0.524
0.593 0.407 0.024
0.072 0.928 0.020
0.301 0.699 0.739
0.325 0.675 0.252
0.479 0.521 0.829
0.521 0.479 0.329
0.675 0.325 0.752
0.699 0.301 0.239
0.928 0.072 0.520
```